1.
# HgH2SO5

Crystalline HgH2SO5 at its relaxed geometry (PBE-GGA, Materials Project).

- ρ: 5.1 g/cm3
- Energy relative to the elements: -1.393 eV/atom

```
data_HgH2SO5
_chemical_formula_sum 'Hg4 H8 S4 O20'
_symmetry_space_group_name_H-M 'P n a 21'
_symmetry_Int_Tables_number 33
_symmetry_space_group_name_Hall 'P 2c -2n'
_cell_length_a 8.053
_cell_length_b 9.135
_cell_length_c 5.553
_cell_angle_alpha 90.00
_cell_angle_beta 90.00
_cell_angle_gamma 90.00
loop_
_atom_site_label
_atom_site_fract_x
_atom_site_fract_y
_atom_site_fract_z
_atom_site_occupancy
Hg1 0.133 0.207 0.000 1
H1 0.029 0.487 0.136 1
H2 0.200 0.506 0.000 1
S1 0.093 0.859 0.999 1
O1 0.075 0.080 0.499 1
O2 0.092 0.454 0.993 1
O3 0.119 0.766 0.219 1
O4 0.119 0.767 0.778 1
O5 0.222 0.980 0.999 1
```

***

2.
# Zn2Hg2H3S2O10

Crystalline Zn2Hg2H3S2O10 at its relaxed geometry (PBE-GGA, Materials Project).

- ρ: 5.1 g/cm3
- Energy relative to the elements: -1.190 eV/atom

```
data_Zn2Hg2H3S2O10
_chemical_formula_sum 'Zn8 Hg8 H12 S8 O40'
_symmetry_space_group_name_H-M 'P b c m'
_symmetry_Int_Tables_number 57
_symmetry_space_group_name_Hall '-P 2c 2b'
_cell_length_a 6.526
_cell_length_b 11.130
_cell_length_c 13.521
_cell_angle_alpha 90.00
_cell_angle_beta 90.00
_cell_angle_gamma 90.00
loop_
_atom_site_label
_atom_site_fract_x
_atom_site_fract_y
_atom_site_fract_z
_atom_site_occupancy
Zn1 0.004 0.159 0.133 1
Hg1 0.210 0.588 0.750 1
Hg2 0.495 0.163 0.250 1
H1 0.248 0.750 0.000 1
H2 0.252 0.692 0.550 1
S1 0.248 0.090 0.578 1
O1 0.084 0.164 0.629 1
O2 0.191 0.101 0.250 1
O3 0.205 0.723 0.250 1
O4 0.218 0.099 0.031 1
O5 0.219 0.537 0.111 1
O6 0.452 0.131 0.608 1
```

***

3.
# HgH2SeO5

Crystalline HgH2SeO5 at its relaxed geometry (PBE-GGA, Materials Project).

- ρ: 5.2 g/cm3
- Energy relative to the elements: -1.082 eV/atom

```
data_HgH2SeO5
_chemical_formula_sum 'Hg4 H8 Se4 O20'
_symmetry_space_group_name_H-M 'P 1 21/c 1'
_symmetry_Int_Tables_number 14
_symmetry_space_group_name_Hall '-P 2ybc'
_cell_length_a 8.079
_cell_length_b 7.792
_cell_length_c 8.614
_cell_angle_alpha 90.00
_cell_angle_beta 121.48
_cell_angle_gamma 90.00
loop_
_atom_site_label
_atom_site_fract_x
_atom_site_fract_y
_atom_site_fract_z
_atom_site_occupancy
Hg1 0.208 0.232 0.257 1
H1 0.208 0.522 0.020 1
H2 0.416 0.065 0.622 1
Se1 0.264 0.614 0.516 1
O1 0.114 0.726 0.001 1
O2 0.118 0.016 0.841 1
O3 0.274 0.092 0.543 1
O4 0.350 0.508 0.716 1
O5 0.449 0.695 0.508 1
```

***

4.
# Zn2Hg2H2Se2O11

Crystalline Zn2Hg2H2Se2O11 at its relaxed geometry (PBE-GGA, Materials Project).

- ρ: 5.7 g/cm3
- Energy relative to the elements: -1.225 eV/atom

```
data_Zn2Hg2H2Se2O11
_chemical_formula_sum 'Zn8 Hg8 H8 Se8 O44'
_symmetry_space_group_name_H-M 'P b c m'
_symmetry_Int_Tables_number 57
_symmetry_space_group_name_Hall '-P 2c 2b'
_cell_length_a 6.302
_cell_length_b 11.638
_cell_length_c 13.695
_cell_angle_alpha 90.00
_cell_angle_beta 90.00
_cell_angle_gamma 90.00
loop_
_atom_site_label
_atom_site_fract_x
_atom_site_fract_y
_atom_site_fract_z
_atom_site_occupancy
Zn1 0.020 0.169 0.131 1
Hg1 0.206 0.080 0.750 1
Hg2 0.476 0.671 0.250 1
H1 0.284 0.192 0.528 1
Se1 0.274 0.588 0.576 1
O1 0.101 0.666 0.642 1
O2 0.168 0.602 0.250 1
O3 0.183 0.250 0.000 1
O4 0.216 0.235 0.250 1
O5 0.220 0.596 0.044 1
O6 0.257 0.048 0.117 1
O7 0.481 0.135 0.600 1
```

***

5.
# HgTeH7O7

Crystalline HgTeH7O7 at its relaxed geometry (PBE-GGA, Materials Project).

- ρ: 4.2 g/cm3
- Energy relative to the elements: -1.215 eV/atom

```
data_HgTeH7O7
_chemical_formula_sum 'Hg2 Te2 H14 O14'
_symmetry_space_group_name_H-M 'P -1'
_symmetry_Int_Tables_number 2
_symmetry_space_group_name_Hall '-P 1'
_cell_length_a 6.011
_cell_length_b 6.971
_cell_length_c 8.678
_cell_angle_alpha 91.71
_cell_angle_beta 104.66
_cell_angle_gamma 91.04
loop_
_atom_site_label
_atom_site_fract_x
_atom_site_fract_y
_atom_site_fract_z
_atom_site_occupancy
Hg1 0.185 0.445 0.095 1
Te1 0.500 0.000 0.000 1
Te2 0.500 0.500 0.500 1
H1 0.007 0.963 0.682 1
H2 0.067 0.538 0.409 1
H3 0.162 0.872 0.395 1
H4 0.242 0.018 0.191 1
H5 0.295 0.179 0.503 1
H6 0.377 0.795 0.753 1
H7 0.409 0.256 0.798 1
O1 0.156 0.009 0.365 1
O2 0.196 0.630 0.428 1
O3 0.230 0.049 0.077 1
O4 0.293 0.897 0.800 1
O5 0.355 0.286 0.585 1
O6 0.459 0.367 0.300 1
O7 0.464 0.262 0.917 1
```

***

6.
# HgTeH4O6

Crystalline HgTeH4O6 at its relaxed geometry (PBE-GGA, Materials Project).

- ρ: 5.0 g/cm3
- Energy relative to the elements: -1.189 eV/atom

```
data_HgTeH4O6
_chemical_formula_sum 'Hg4 Te4 H16 O24'
_symmetry_space_group_name_H-M 'P n a 21'
_symmetry_Int_Tables_number 33
_symmetry_space_group_name_Hall 'P 2c -2n'
_cell_length_a 11.024
_cell_length_b 6.175
_cell_length_c 8.436
_cell_angle_alpha 90.00
_cell_angle_beta 90.00
_cell_angle_gamma 90.00
loop_
_atom_site_label
_atom_site_fract_x
_atom_site_fract_y
_atom_site_fract_z
_atom_site_occupancy
Hg1 0.026 0.141 0.000 1
Te1 0.143 0.646 0.996 1
H1 0.084 0.513 0.273 1
H2 0.155 0.293 0.563 1
H3 0.217 0.866 0.774 1
H4 0.218 0.843 0.516 1
O1 0.016 0.829 0.082 1
O2 0.018 0.450 0.915 1
O3 0.138 0.790 0.788 1
O4 0.150 0.476 0.195 1
O5 0.226 0.946 0.428 1
O6 0.236 0.358 0.562 1
```

***

7.
# HoH2

Crystalline HoH2 at its relaxed geometry (PBE-GGA, Materials Project).

- ρ: 8.1 g/cm3
- Energy relative to the elements: -0.807 eV/atom

```
data_HoH2
_chemical_formula_sum 'Ho4 H8'
_symmetry_space_group_name_H-M 'F m -3 m'
_symmetry_Int_Tables_number 225
_symmetry_space_group_name_Hall '-F 4 2 3'
_cell_length_a 5.161
_cell_length_b 5.161
_cell_length_c 5.161
_cell_angle_alpha 90.00
_cell_angle_beta 90.00
_cell_angle_gamma 90.00
loop_
_atom_site_label
_atom_site_fract_x
_atom_site_fract_y
_atom_site_fract_z
_atom_site_occupancy
Ho1 0.000 0.000 0.000 1
H1 0.250 0.250 0.250 1
```

***

8.
# HoHO2

Crystalline HoHO2 at its relaxed geometry (PBE-GGA, Materials Project).

- ρ: 6.7 g/cm3
- Energy relative to the elements: -2.930 eV/atom

```
data_HoHO2
_chemical_formula_sum 'Ho2 H2 O4'
_symmetry_space_group_name_H-M 'P 63/m m c'
_symmetry_Int_Tables_number 194
_symmetry_space_group_name_Hall '-P 6c 2c'
_cell_length_a 3.5049
_cell_length_b 3.5049
_cell_length_c 9.2070
_cell_angle_alpha 90.00
_cell_angle_beta 90.00
_cell_angle_gamma 120.00
loop_
_atom_site_label
_atom_site_fract_x
_atom_site_fract_y
_atom_site_fract_z
_atom_site_occupancy
Ho1 0.0000 0.0000 0.0000 1
H1 0.3333 0.6667 0.2500 1
O1 0.3333 0.6667 0.1169 1
```